A relaxed KMoPO7 crystal, computed with PBE with a Hubbard U.

a b c (Å): 8.644 5.912 12.201
angles (deg): 80.90 90.00 90.00
Element x y z (fractional)
O (0.648, 0.374, 0.914)
O (0.397, 0.505, 0.893)
O (0.034, 0.593, 0.337)
O (0.654, 0.551, 0.649)
O (0.846, 0.051, 0.149)
O (0.689, 0.936, 0.957)
O (0.592, 0.152, 0.567)
O (0.466, 0.093, 0.837)
O (0.241, 0.367, 0.731)
O (0.908, 0.652, 0.067)
O (0.148, 0.126, 0.586)
O (0.759, 0.633, 0.269)
O (0.603, 0.495, 0.107)
O (0.852, 0.874, 0.414)
O (0.741, 0.133, 0.769)
O (0.811, 0.436, 0.457)
O (0.346, 0.449, 0.351)
O (0.311, 0.064, 0.043)
O (0.259, 0.867, 0.231)
O (0.897, 0.995, 0.607)
O (0.352, 0.626, 0.086)
O (0.534, 0.907, 0.163)
O (0.103, 0.005, 0.393)
O (0.092, 0.348, 0.933)
O (0.154, 0.949, 0.851)
O (0.189, 0.564, 0.543)
O (0.408, 0.848, 0.433)
O (0.966, 0.407, 0.663)
K (0.389, 0.828, 0.671)
K (0.111, 0.328, 0.171)
K (0.889, 0.672, 0.829)
K (0.611, 0.172, 0.329)
P (0.368, 0.855, 0.129)
P (0.632, 0.145, 0.871)
P (0.868, 0.645, 0.371)
P (0.132, 0.355, 0.629)
Mo (0.743, 0.312, 0.610)
Mo (0.243, 0.188, 0.890)
Mo (0.757, 0.812, 0.110)
Mo (0.257, 0.688, 0.390)

Summary:
The final energy is -6.361 eV per atom. The formation energy from the elements is -19.614 eV/f.u.

A relaxed K3Mo12PO40 crystal, computed with PBE with a Hubbard U.

a b c (Å): 11.928 11.928 11.928
angles (deg): 90.00 90.00 90.00
Element x y z (fractional)
O (0.716, 0.876, 0.124)
O (0.124, 0.716, 0.876)
O (0.685, 0.984, 0.685)
O (0.284, 0.124, 0.124)
O (0.902, 0.745, 0.902)
O (0.376, 0.784, 0.624)
O (0.784, 0.376, 0.624)
O (0.876, 0.284, 0.876)
O (0.815, 0.185, 0.484)
O (0.124, 0.876, 0.716)
O (0.098, 0.255, 0.902)
O (0.784, 0.624, 0.376)
O (0.755, 0.598, 0.598)
O (0.902, 0.098, 0.255)
O (0.516, 0.815, 0.815)
O (0.315, 0.685, 0.016)
O (0.376, 0.216, 0.376)
O (0.315, 0.315, 0.984)
O (0.516, 0.185, 0.185)
O (0.815, 0.815, 0.516)
O (0.402, 0.402, 0.755)
O (0.425, 0.425, 0.425)
O (0.624, 0.784, 0.376)
O (0.284, 0.876, 0.876)
O (0.216, 0.376, 0.376)
O (0.185, 0.815, 0.484)
O (0.124, 0.284, 0.124)
O (0.402, 0.245, 0.598)
O (0.598, 0.245, 0.402)
O (0.984, 0.685, 0.685)
O (0.185, 0.185, 0.516)
O (0.745, 0.098, 0.098)
O (0.124, 0.124, 0.284)
O (0.624, 0.216, 0.624)
O (0.815, 0.484, 0.185)
O (0.255, 0.902, 0.098)
O (0.098, 0.745, 0.098)
O (0.745, 0.902, 0.902)
O (0.484, 0.815, 0.185)
O (0.016, 0.315, 0.685)
O (0.876, 0.876, 0.284)
O (0.925, 0.925, 0.075)
O (0.402, 0.755, 0.402)
O (0.216, 0.624, 0.624)
O (0.876, 0.716, 0.124)
O (0.598, 0.755, 0.598)
O (0.685, 0.016, 0.315)
O (0.376, 0.624, 0.784)
O (0.098, 0.902, 0.255)
O (0.402, 0.598, 0.245)
O (0.016, 0.685, 0.315)
O (0.245, 0.402, 0.598)
O (0.315, 0.016, 0.685)
O (0.925, 0.075, 0.925)
O (0.425, 0.575, 0.575)
O (0.075, 0.925, 0.925)
O (0.755, 0.402, 0.402)
O (0.098, 0.098, 0.745)
O (0.185, 0.516, 0.185)
O (0.484, 0.185, 0.815)
O (0.255, 0.098, 0.902)
O (0.075, 0.075, 0.075)
O (0.685, 0.685, 0.984)
O (0.685, 0.315, 0.016)
O (0.984, 0.315, 0.315)
O (0.876, 0.124, 0.716)
O (0.598, 0.598, 0.755)
O (0.185, 0.484, 0.815)
O (0.815, 0.516, 0.815)
O (0.624, 0.376, 0.784)
O (0.598, 0.402, 0.245)
O (0.902, 0.255, 0.098)
O (0.245, 0.598, 0.402)
O (0.624, 0.624, 0.216)
O (0.575, 0.425, 0.575)
O (0.315, 0.984, 0.315)
O (0.902, 0.902, 0.745)
O (0.575, 0.575, 0.425)
O (0.376, 0.376, 0.216)
O (0.716, 0.124, 0.876)
Mo (0.286, 0.286, 0.492)
Mo (0.214, 0.008, 0.214)
Mo (0.286, 0.508, 0.714)
Mo (0.714, 0.508, 0.286)
Mo (0.286, 0.714, 0.508)
Mo (0.508, 0.714, 0.286)
Mo (0.214, 0.992, 0.786)
Mo (0.786, 0.786, 0.008)
Mo (0.214, 0.786, 0.992)
Mo (0.714, 0.492, 0.714)
Mo (0.786, 0.214, 0.992)
Mo (0.786, 0.008, 0.786)
Mo (0.508, 0.286, 0.714)
Mo (0.286, 0.492, 0.286)
Mo (0.008, 0.214, 0.214)
Mo (0.992, 0.786, 0.214)
Mo (0.492, 0.286, 0.286)
Mo (0.492, 0.714, 0.714)
Mo (0.714, 0.714, 0.492)
Mo (0.008, 0.786, 0.786)
Mo (0.214, 0.214, 0.008)
Mo (0.992, 0.214, 0.786)
Mo (0.786, 0.992, 0.214)
Mo (0.714, 0.286, 0.508)
K (0.500, 0.000, 0.500)
K (0.500, 0.000, 0.000)
K (0.000, 0.500, 0.000)
K (0.000, 0.500, 0.500)
K (0.500, 0.500, 0.000)
K (0.000, 0.000, 0.500)
P (0.500, 0.500, 0.500)
P (0.000, 0.000, 0.000)

Summary:
The final energy is -6.904 eV per atom. The formation energy from the elements is -115.740 eV/f.u.

A relaxed KMoPO6 crystal, computed with PBE with a Hubbard U.

a b c (Å): 10.058 9.677 8.496
angles (deg): 66.84 62.20 50.95
Element x y z (fractional)
P (0.135, 0.135, 0.865)
P (0.385, 0.385, 0.115)
P (0.865, 0.865, 0.135)
P (0.115, 0.115, 0.385)
O (0.067, 0.589, 0.816)
O (0.160, 0.232, 0.950)
O (0.589, 0.067, 0.527)
O (0.944, 0.892, 0.228)
O (0.306, 0.358, 0.022)
O (0.661, 0.183, 0.723)
O (0.527, 0.816, 0.589)
O (0.723, 0.434, 0.661)
O (0.358, 0.306, 0.315)
O (0.315, 0.022, 0.358)
O (0.022, 0.315, 0.306)
O (0.232, 0.160, 0.658)
O (0.183, 0.661, 0.434)
O (0.090, 0.018, 0.300)
O (0.816, 0.527, 0.067)
O (0.950, 0.658, 0.160)
O (0.592, 0.300, 0.018)
O (0.892, 0.944, 0.935)
O (0.300, 0.592, 0.090)
O (0.228, 0.935, 0.944)
O (0.018, 0.090, 0.592)
O (0.658, 0.950, 0.232)
O (0.935, 0.228, 0.892)
O (0.434, 0.723, 0.183)
K (0.530, 0.970, 0.970)
K (0.280, 0.720, 0.720)
K (0.970, 0.530, 0.530)
K (0.720, 0.280, 0.280)
Mo (0.221, 0.779, 0.221)
Mo (0.471, 0.029, 0.471)
Mo (0.779, 0.221, 0.779)
Mo (0.029, 0.471, 0.029)

Summary:
The final energy is -6.795 eV per atom. The formation energy from the elements is -21.422 eV/f.u.

A relaxed KMo2P3O13 crystal, computed with PBE with a Hubbard U.

a b c (Å): 9.026 9.026 9.025
angles (deg): 68.98 68.98 105.45
Element x y z (fractional)
O (0.747, 0.430, 0.400)
O (0.653, 0.104, 0.592)
O (0.004, 0.104, 0.082)
O (0.207, 0.057, 0.211)
O (0.104, 0.653, 0.092)
O (0.104, 0.004, 0.582)
O (0.303, 0.351, 0.270)
O (0.239, 0.761, 0.750)
O (0.802, 0.538, 0.034)
O (0.347, 0.896, 0.408)
O (0.570, 0.253, 0.100)
O (0.253, 0.570, 0.600)
O (0.943, 0.793, 0.289)
O (0.057, 0.207, 0.711)
O (0.896, 0.347, 0.908)
O (0.996, 0.896, 0.918)
O (0.430, 0.747, 0.900)
O (0.761, 0.239, 0.250)
O (0.198, 0.462, 0.966)
O (0.793, 0.943, 0.789)
O (0.649, 0.697, 0.230)
O (0.538, 0.802, 0.534)
O (0.462, 0.198, 0.466)
O (0.351, 0.303, 0.770)
O (0.896, 0.996, 0.418)
O (0.697, 0.649, 0.730)
P (0.239, 0.650, 0.937)
P (0.761, 0.350, 0.063)
P (0.988, 0.012, 0.750)
P (0.012, 0.988, 0.250)
P (0.350, 0.761, 0.563)
P (0.650, 0.239, 0.437)
Mo (0.839, 0.673, 0.168)
Mo (0.327, 0.161, 0.332)
Mo (0.673, 0.839, 0.668)
Mo (0.161, 0.327, 0.832)
K (0.500, 0.000, 0.000)
K (0.000, 0.500, 0.500)

Summary:
The final energy is -7.099 eV per atom. The formation energy from the elements is -46.860 eV/f.u.

Q: What is the formation energy from the elements in the first record?
A: -19.614 eV/f.u.